This record from Materials Project describes an optimized crystal structure of Tl2FeS2. The functional is PBE.

Values from the calculation:
Energy of formation from the pure elements, eV/f.u.: -0.79

a = 6.233 Å, b = 6.233 Å, c = 8.087 Å
α = 90.00°, β = 90.00°, γ = 90.00°
Fractional positions:
Tl: 0.000 0.500 0.250
Tl: 0.000 0.500 0.750
Tl: 0.500 0.000 0.250
Tl: 0.500 0.000 0.750
Fe: 0.000 0.000 0.000
Fe: 0.500 0.500 0.500
S: 0.000 0.000 0.263
S: 0.000 0.000 0.737
S: 0.500 0.500 0.237
S: 0.500 0.500 0.763

---

This record from Materials Project describes an optimized crystal structure of Zr4Mo. The functional is PBE.

Values from the calculation:
Energy of formation from the pure elements, eV/f.u.: 4.55

a = 7.056 Å, b = 7.056 Å, c = 7.056 Å
α = 60.00°, β = 60.00°, γ = 60.00°
Fractional positions:
Zr: 0.193 0.769 0.769
Zr: 0.231 0.231 0.231
Zr: 0.231 0.231 0.807
Zr: 0.231 0.807 0.231
Zr: 0.769 0.193 0.769
Zr: 0.769 0.769 0.193
Zr: 0.769 0.769 0.769
Zr: 0.807 0.231 0.231
Mo: 0.375 0.375 0.375
Mo: 0.625 0.625 0.625

---

This record from Materials Project describes an optimized crystal structure of Ba6MgIr6O18. The functional is PBE.

Values from the calculation:
Relative energy among the computed polymorphs, meV per atom: 55
Energy of formation from the pure elements, eV/f.u.: -59.49

a = 5.777 Å, b = 5.968 Å, c = 15.107 Å
α = 89.64°, β = 89.64°, γ = 61.47°
Fractional positions:
Ba: 0.000 0.000 0.000
Ba: 0.031 0.950 0.302
Ba: 0.321 0.358 0.825
Ba: 0.393 0.231 0.456
Ba: 0.620 0.759 0.685
Ba: 0.683 0.637 0.156
Mg: 0.903 0.207 0.594
Ir: 0.127 0.745 0.547
Ir: 0.330 0.333 0.058
Ir: 0.357 0.291 0.241
Ir: 0.662 0.673 0.914
Ir: 0.701 0.610 0.395
Ir: 0.990 0.021 0.765
O: 0.052 0.486 0.330
O: 0.135 0.726 0.674
O: 0.139 0.198 0.688
O: 0.186 0.168 0.147
O: 0.206 0.596 0.159
O: 0.357 0.792 0.828
O: 0.360 0.788 0.464
O: 0.476 0.040 0.965
O: 0.479 0.555 0.003
O: 0.525 0.933 0.305
O: 0.594 0.405 0.311
O: 0.636 0.155 0.143
O: 0.669 0.204 0.688
O: 0.828 0.799 0.475
O: 0.844 0.799 0.828
O: 0.851 0.314 0.474
O: 0.852 0.308 0.861
O: 0.965 0.562 0.002

---

This record from Materials Project describes an optimized crystal structure of Lu2Ge3Pt9. The functional is PBE.

Values from the calculation:
Energy of formation from the pure elements, eV/f.u.: -10.93

a = 7.789 Å, b = 7.789 Å, c = 10.044 Å
α = 112.83°, β = 112.83°, γ = 60.26°
Fractional positions:
Lu: 0.084 0.255 0.251
Lu: 0.255 0.084 0.751
Lu: 0.745 0.916 0.249
Lu: 0.916 0.745 0.749
Ge: 0.000 0.500 0.000
Ge: 0.140 0.682 0.502
Ge: 0.318 0.860 0.998
Ge: 0.500 0.000 0.500
Ge: 0.682 0.140 0.002
Ge: 0.860 0.318 0.498
Pt: 0.022 0.861 0.078
Pt: 0.139 0.978 0.422
Pt: 0.192 0.360 0.579
Pt: 0.202 0.584 0.256
Pt: 0.295 0.477 0.923
Pt: 0.360 0.192 0.079
Pt: 0.364 0.636 0.750
Pt: 0.416 0.798 0.244
Pt: 0.477 0.295 0.423
Pt: 0.523 0.705 0.577
Pt: 0.584 0.202 0.756
Pt: 0.636 0.364 0.250
Pt: 0.640 0.808 0.921
Pt: 0.705 0.523 0.077
Pt: 0.798 0.416 0.744
Pt: 0.808 0.640 0.421
Pt: 0.861 0.022 0.578
Pt: 0.978 0.139 0.922

---

Repeat the third record exactly.
This record from Materials Project describes an optimized crystal structure of Ba6MgIr6O18. The functional is PBE.

Values from the calculation:
Relative energy among the computed polymorphs, meV per atom: 55
Energy of formation from the pure elements, eV/f.u.: -59.49

a = 5.777 Å, b = 5.968 Å, c = 15.107 Å
α = 89.64°, β = 89.64°, γ = 61.47°
Fractional positions:
Ba: 0.000 0.000 0.000
Ba: 0.031 0.950 0.302
Ba: 0.321 0.358 0.825
Ba: 0.393 0.231 0.456
Ba: 0.620 0.759 0.685
Ba: 0.683 0.637 0.156
Mg: 0.903 0.207 0.594
Ir: 0.127 0.745 0.547
Ir: 0.330 0.333 0.058
Ir: 0.357 0.291 0.241
Ir: 0.662 0.673 0.914
Ir: 0.701 0.610 0.395
Ir: 0.990 0.021 0.765
O: 0.052 0.486 0.330
O: 0.135 0.726 0.674
O: 0.139 0.198 0.688
O: 0.186 0.168 0.147
O: 0.206 0.596 0.159
O: 0.357 0.792 0.828
O: 0.360 0.788 0.464
O: 0.476 0.040 0.965
O: 0.479 0.555 0.003
O: 0.525 0.933 0.305
O: 0.594 0.405 0.311
O: 0.636 0.155 0.143
O: 0.669 0.204 0.688
O: 0.828 0.799 0.475
O: 0.844 0.799 0.828
O: 0.851 0.314 0.474
O: 0.852 0.308 0.861
O: 0.965 0.562 0.002

---

> Which value of energy of formation from the pure elements does entry 3 give?

-59.49 eV/f.u.